Entry 1:
Density functional theory data (PBE) for an optimized crystal structure of ThNi.

abc: 4.2803 5.7034 14.1187
angles: 90.00 90.00 90.00
With the nearest neighbours (Å) after each atom.
Atoms (fractional coordinates):
Th 0.2500 0.7478 0.0346  7 Ni 2.91-3.06
Th 0.7500 0.2522 0.9654  7 Ni 2.91-3.06
Th 0.2500 0.7522 0.5346  7 Ni 2.91-3.06
Th 0.2500 0.9633 0.7847  7 Ni 2.91-3.05
Th 0.7500 0.0367 0.2153  7 Ni 2.91-3.05
Th 0.7500 0.2478 0.4654  7 Ni 2.91-3.06
Th 0.7500 0.4633 0.7153  7 Ni 2.91-3.05
Th 0.2500 0.5367 0.2847  7 Ni 2.91-3.05
Ni 0.2500 0.0311 0.3544  2 Ni 2.71, 6 Th 2.91-3.00
Ni 0.7500 0.7439 0.8951  2 Ni 2.71, 6 Th 2.91-3.00
Ni 0.7500 0.9689 0.6456  2 Ni 2.71, 6 Th 2.91-3.00
Ni 0.7500 0.7561 0.3951  2 Ni 2.71, 6 Th 2.91-3.00
Ni 0.2500 0.2561 0.1049  2 Ni 2.71, 6 Th 2.91-3.00
Ni 0.7500 0.5311 0.1456  2 Ni 2.71, 6 Th 2.91-3.00
Ni 0.2500 0.2439 0.6049  2 Ni 2.71, 6 Th 2.91-3.00
Ni 0.2500 0.4689 0.8544  2 Ni 2.71, 6 Th 2.91-3.00

Computed properties:
Calculated volume = 21.54 Å³/atom
DFT total energy = -7.029 eV per atom
ΔE_f = -0.432 eV per atom

Entry 2:
Density functional theory data (PBE) for an optimized crystal structure of NdDy3.

abc: 6.2010 6.2010 6.2010
angles: 131.84 131.84 70.48
With the nearest neighbours (Å) after each atom.
Atoms (fractional coordinates):
Dy 0.5000 0.5000 0.0000  4 Nd 3.58, 8 Dy 3.58
Dy 0.2500 0.7500 0.5000  8 Dy 3.58, 4 Nd 3.58
Dy 0.7500 0.2500 0.5000  8 Dy 3.58, 4 Nd 3.58
Nd 0.0000 0.0000 0.0000  12 Dy 3.58

Computed properties:
Calculated volume = 32.42 Å³/atom
Offset from the most stable computed form = 0.0045 eV per atom
DFT total energy = -4.624 eV per atom
ΔE_f = 0.023 eV per atom

Entry 3:
Density functional theory data (PBE) for an optimized crystal structure of PaCd.

abc: 3.1158 3.1158 5.7769
angles: 90.00 90.00 120.00
With the nearest neighbours (Å) after each atom.
Atoms (fractional coordinates):
Pa 0.0000 0.0000 0.0000  6 Pa 3.12, 6 Cd 3.40
Cd 0.3333 0.6667 0.5000  6 Cd 3.12, 6 Pa 3.40

Computed properties:
Calculated volume = 24.28 Å³/atom
DFT total energy = -5.147 eV per atom
ΔE_f = 0.072 eV per atom

Entry 4:
Density functional theory data (PBE) for an optimized crystal structure of TbB2Os.

abc: 5.3404 5.9266 6.3911
angles: 90.00 90.00 90.00
With the nearest neighbours (Å) after each atom.
Atoms (fractional coordinates):
Tb 0.7500 0.9902 0.6639  6 B 2.63-2.70
Tb 0.7500 0.4902 0.8361  6 B 2.63-2.70
Tb 0.2500 0.0098 0.3361  6 B 2.63-2.70
Tb 0.2500 0.5098 0.1639  6 B 2.63-2.70
Os 0.7500 0.8237 0.1806  6 B 2.24-2.29
Os 0.2500 0.6763 0.6806  6 B 2.24-2.29
Os 0.7500 0.3237 0.3194  6 B 2.24-2.29
Os 0.2500 0.1763 0.8194  6 B 2.24-2.29
B 0.0828 0.8640 0.9604  2 B 1.79-1.91
B 0.4172 0.3640 0.5396  2 B 1.79-1.91
B 0.9172 0.1360 0.0396  2 B 1.79-1.91
B 0.5828 0.6360 0.4604  2 B 1.79-1.91
B 0.5828 0.1360 0.0396  2 B 1.79-1.91
B 0.0828 0.3640 0.5396  2 B 1.79-1.91
B 0.4172 0.8640 0.9604  2 B 1.79-1.91
B 0.9172 0.6360 0.4604  2 B 1.79-1.91

Computed properties:
Calculated volume = 12.64 Å³/atom
DFT total energy = -7.860 eV per atom
ΔE_f = -0.555 eV per atom

Entry 5:
Density functional theory data (PBE) for an optimized crystal structure of Sm3Si2Ir2.

abc: 5.7137 5.7137 13.4134
angles: 90.00 90.00 137.60
With the nearest neighbours (Å) after each atom.
Atoms (fractional coordinates):
Si 0.0607 0.9393 0.5886  3 Ir 2.47-2.54, 1 Si 2.71
Si 0.9393 0.0607 0.0886  3 Ir 2.47-2.54, 1 Si 2.71
Si 0.9393 0.0607 0.4114  3 Ir 2.47-2.54, 1 Si 2.71
Si 0.0607 0.9393 0.9114  3 Ir 2.47-2.54, 1 Si 2.71
Sm 0.7730 0.2270 0.8961  3 Ir 3.00-3.22, 4 Si 3.07-3.13
Sm 0.7730 0.2270 0.6039  3 Ir 3.00-3.22, 4 Si 3.07-3.13
Sm 0.2270 0.7730 0.1039  3 Ir 3.00-3.22, 4 Si 3.07-3.13
Sm 0.2270 0.7730 0.3961  3 Ir 3.00-3.22, 4 Si 3.07-3.13
Sm 0.5173 0.4827 0.2500  3 Ir 2.99-3.17, 4 Si 3.11
Sm 0.4827 0.5173 0.7500  3 Ir 2.99-3.17, 4 Si 3.11
Ir 0.8148 0.1852 0.2500  2 Si 2.54
Ir 0.5000 0.5000 0.5000  4 Si 2.47
Ir 0.1852 0.8148 0.7500  2 Si 2.54
Ir 0.5000 0.5000 0.0000  4 Si 2.47

Computed properties:
Calculated volume = 21.09 Å³/atom
DFT total energy = -7.026 eV per atom
ΔE_f = -0.928 eV per atom

Entry 6:
Density functional theory data (PBE) for an optimized crystal structure of ErMg3.

abc: 6.6367 6.6367 5.1867
angles: 90.00 90.00 120.00
With the nearest neighbours (Å) after each atom.
Atoms (fractional coordinates):
Mg 0.8362 0.6724 0.7500  8 Mg 3.20-3.38, 4 Er 3.24-3.32
Mg 0.1638 0.3276 0.2500  8 Mg 3.20-3.38, 4 Er 3.24-3.32
Mg 0.8362 0.1638 0.7500  8 Mg 3.20-3.38, 4 Er 3.24-3.32
Mg 0.3276 0.1638 0.7500  8 Mg 3.20-3.38, 4 Er 3.24-3.32
Mg 0.6724 0.8362 0.2500  8 Mg 3.20-3.38, 4 Er 3.24-3.32
Mg 0.1638 0.8362 0.2500  8 Mg 3.20-3.38, 4 Er 3.24-3.32
Er 0.6667 0.3333 0.2500  12 Mg 3.24-3.32
Er 0.3333 0.6667 0.7500  12 Mg 3.24-3.32

Computed properties:
Calculated volume = 24.73 Å³/atom
DFT total energy = -2.388 eV per atom
ΔE_f = -0.046 eV per atom

Entry 7:
Density functional theory data (PBE) for an optimized crystal structure of CrGaFeSe4.

abc: 12.9589 12.9589 12.9589
angles: 17.05 17.05 17.05
With the nearest neighbours (Å) after each atom.
Atoms (fractional coordinates):
Ga 0.0697 0.0697 0.0697  4 Se 2.42-2.47
Se 0.8678 0.8678 0.8678  1 Fe 2.46, 3 Cr 2.58
Se 0.2897 0.2897 0.2897  3 Fe 2.41
Se 0.7078 0.7078 0.7078  3 Ga 2.47
Se 0.1328 0.1328 0.1328  1 Ga 2.42, 3 Cr 2.58
Cr 0.5003 0.5003 0.5003  6 Se 2.58
Fe 0.9319 0.9319 0.9319  4 Se 2.41-2.46

Computed properties:
Calculated volume = 23.32 Å³/atom
Magnetization = 6.7 Bohr magnetons per cell
DFT total energy = -5.386 eV per atom
ΔE_f = -0.637 eV per atom

Entry 8:
Density functional theory data (PBE) for an optimized crystal structure of Th5C.

abc: 15.1560 15.1560 15.1560
angles: 13.59 13.59 13.59
With the nearest neighbours (Å) after each atom.
Atoms (fractional coordinates):
Th 0.0000 0.0000 0.0000  12 Th 3.58-3.59
Th 0.2003 0.2003 0.2003  3 C 2.57
Th 0.6018 0.6018 0.6018  12 Th 3.58-3.71
Th 0.3982 0.3982 0.3982  12 Th 3.58-3.71
Th 0.7997 0.7997 0.7997  3 C 2.57
C 0.5000 0.5000 0.5000  6 Th 2.57

Computed properties:
Calculated volume = 27.88 Å³/atom
DFT total energy = -7.828 eV per atom
ΔE_f = -0.112 eV per atom